Entry 1:
This record from the Materials Project describes Na6Hf7MgSi6S6O48 after structural relaxation. The functional is PBE.

Unit cell a=17.9440 b=8.9535 c=23.1887 alpha=89.94 beta=90.08 gamma=119.92
With the nearest neighbours (Å) after each atom.
Element x y z (fractional)
S 0.3130 0.6686 0.9182  4 O 1.47-1.49
S 0.3336 0.0437 0.0834  4 O 1.47-1.50
S 0.3557 0.7130 0.2503  4 O 1.47-1.49
S 0.9990 0.2896 0.2492  4 O 1.46-1.52
S 0.5211 0.3760 0.9173  4 O 1.47-1.51
S 0.1884 0.0412 0.5846  4 O 1.46-1.51
S 0.4786 0.3327 0.5844  4 O 1.47-1.50
S 0.9769 0.6217 0.0843  4 O 1.47-1.49
S 0.8333 0.6216 0.5849  4 O 1.46-1.51
S 0.8106 0.6654 0.9185  4 O 1.47-1.50
S 0.6450 0.0004 0.2487  4 O 1.46-1.50
S 0.3105 0.9549 0.4178  4 O 1.48
S 0.9786 0.3348 0.5851  4 O 1.46-1.51
S 0.3342 0.6251 0.5840  4 O 1.45-1.51
S 0.6893 0.3341 0.0841  4 O 1.47-1.50
S 0.6876 0.0414 0.5847  4 O 1.47-1.50
S 0.9985 0.7097 0.7495  4 O 1.46-1.51
S 0.8333 0.0453 0.0842  4 O 1.46-1.50
O 0.4269 0.4923 0.4263  1 Si 1.66
O 0.2381 0.1195 0.6370  1 S 1.46
O 0.2429 0.1694 0.2430  1 Si 1.62
O 0.3212 0.1226 0.1353  1 S 1.47
O 0.7367 0.1195 0.6377  1 S 1.47
O 0.7567 0.8687 0.0758  1 S 1.50
O 0.4138 0.3112 0.2439  1 Si 1.62
O 0.1858 0.4998 0.3599  1 Si 1.64
O 0.4208 0.5316 0.0254  1 Si 1.63
O 0.6001 0.0243 0.5867  1 S 1.50
O 0.2299 0.3058 0.0277  1 Si 1.65
O 0.3982 0.8181 0.1978  1 S 1.49
O 0.1798 0.8658 0.5776  1 S 1.51
O 0.5849 0.2085 0.6934  1 Si 1.66
O 0.4856 0.7969 0.8067  1 Si 1.63
O 0.4903 0.8190 0.0905  1 Si 1.65
O 0.1541 0.8214 0.2566  1 Si 1.67
O 0.8193 0.5090 0.9266  1 S 1.50
O 0.9069 0.9791 0.4088  1 Si 1.61
O 0.6776 0.8655 0.5795  1 S 1.50
O 0.5209 0.8355 0.6943  1 Si 1.65
O 0.4118 0.0246 0.0898  1 S 1.50
O 0.1784 0.5122 0.0790  1 Si 1.65
O 0.1013 0.0264 0.3068  1 Si 1.62
O 0.9000 0.8262 0.1905  1 Si 1.65
O 0.7689 0.6876 0.9703  1 S 1.48
O 0.0995 0.0170 0.5886  1 S 1.50
O 0.9889 0.1780 0.5880  1 S 1.51
O 0.7292 0.1582 0.2415  1 S 1.48
O 0.4127 0.7987 0.5863  1 S 1.49
O 0.6549 0.8390 0.9720  1 Si 1.64
O 0.9111 0.0292 0.0879  1 S 1.47
O 0.9233 0.5340 0.0329  1 S 1.48
O 0.7564 0.6842 0.2528  1 Si 1.64
O 0.0133 0.2106 0.1971  1 S 1.49
O 0.5774 0.4631 0.9689  1 S 1.51
O 0.3214 0.5208 0.6350  1 S 1.45
O 0.0805 0.4674 0.9712  1 Si 1.63
O 0.6031 0.1684 0.8056  1 Si 1.65
O 0.3434 0.1652 0.7425  1 Si 1.61
O 0.6809 0.4830 0.3574  1 Si 1.62
O 0.8428 0.5130 0.2420  1 Si 1.66
O 0.0648 0.6448 0.0777  1 S 1.49
O 0.5801 0.1840 0.4115  1 Si 1.64
O 0.0678 0.4895 0.5790  1 S 1.51
O 0.6012 0.1778 0.0882  1 S 1.50
O 0.7673 0.8381 0.4732  1 Si 1.64
O 0.1802 0.8707 0.8576  1 Si 1.66
O 0.4336 0.5070 0.1400  1 Si 1.62
O 0.9267 0.3637 0.9250  1 Si 1.64
O 0.8992 0.9688 0.6923  1 Si 1.65
O 0.0624 0.4856 0.8563  1 Si 1.63
O 0.6500 0.4771 0.7593  1 Si 1.63
O 0.3428 0.5393 0.5311  1 S 1.50
O 0.3962 0.9709 0.4113  1 S 1.48
O 0.8967 0.8164 0.9118  1 S 1.47
O 0.8211 0.1439 0.4264  1 Si 1.64
O 0.0795 0.6991 0.7541  1 S 1.51
O 0.1009 0.1707 0.8050  1 Si 1.65
O 0.9172 0.7987 0.3029  1 Si 1.64
O 0.5659 0.4879 0.5787  1 S 1.49
O 0.5042 0.8289 0.4075  1 Si 1.63
O 0.3976 0.8249 0.9134  1 S 1.47
O 0.4137 0.0279 0.8070  1 Si 1.64
O 0.0878 0.1653 0.0902  1 Si 1.65
O 0.1472 0.4781 0.7547  1 Si 1.64
O 0.4384 0.3510 0.6369  1 S 1.47
O 0.1600 0.8426 0.9732  1 Si 1.64
O 0.7565 0.6445 0.5801  1 S 1.49
O 0.2702 0.6870 0.9699  1 S 1.48
O 0.2450 0.3564 0.1407  1 Si 1.63
O 0.2506 0.3504 0.4263  1 Si 1.65
O 0.5903 0.9766 0.1965  1 S 1.50
O 0.2549 0.1524 0.9230  1 Si 1.65
O 0.5123 0.2031 0.9142  1 S 1.48
O 0.0804 0.1905 0.4101  1 Si 1.59
O 0.2698 0.6987 0.2542  1 S 1.48
O 0.9257 0.5356 0.7411  1 S 1.46
O 0.7318 0.1478 0.5335  1 S 1.48
O 0.3465 0.5405 0.2449  1 S 1.48
O 0.0829 0.6919 0.4727  1 Si 1.63
O 0.7313 0.3094 0.0329  1 S 1.48
O 0.2548 0.8274 0.7551  1 Si 1.65
O 0.2602 0.6421 0.8657  1 S 1.49
O 0.1587 0.4744 0.4728  1 Si 1.65
O 0.0139 0.8213 0.6977  1 S 1.50
O 0.4883 0.1680 0.3050  1 Si 1.65
O 0.9283 0.4952 0.4256  1 Si 1.62
O 0.4872 0.1742 0.5860  1 S 1.50
O 0.0131 0.8355 0.4140  1 Si 1.60
O 0.8502 0.1780 0.7427  1 Si 1.62
O 0.3984 0.9634 0.6936  1 Si 1.65
O 0.8248 0.5203 0.6366  1 S 1.46
O 0.5748 0.6447 0.0769  1 Si 1.67
O 0.2578 0.8695 0.0773  1 S 1.48
O 0.9393 0.5208 0.1369  1 S 1.47
O 0.2575 0.6496 0.5770  1 S 1.51
O 0.5769 0.9773 0.9143  1 Si 1.62
O 0.8426 0.1510 0.0317  1 S 1.50
O 0.4197 0.5122 0.7432  1 Si 1.59
O 0.8438 0.5394 0.5324  1 S 1.48
O 0.6038 0.0263 0.3002  1 S 1.48
O 0.7412 0.3084 0.7434  1 Si 1.60
O 0.5641 0.6365 0.3587  1 Si 1.62
O 0.4073 0.7938 0.3022  1 S 1.47
O 0.7572 0.6344 0.8665  1 S 1.48
O 0.4249 0.3137 0.5326  1 S 1.50
O 0.9131 0.7977 0.5889  1 S 1.51
O 0.9247 0.3166 0.2410  1 S 1.48
O 0.5865 0.6935 0.7579  1 Si 1.67
O 0.6504 0.4644 0.4733  1 Si 1.62
O 0.2707 0.8493 0.4697  1 S 1.48
O 0.3480 0.1494 0.0314  1 S 1.47
O 0.6525 0.8453 0.2529  1 S 1.46
O 0.6792 0.8736 0.8591  1 Si 1.63
O 0.5796 0.7004 0.4734  1 Si 1.64
O 0.0783 0.4675 0.2539  1 S 1.52
O 0.8192 0.1237 0.1353  1 S 1.46
O 0.0793 0.9689 0.9114  1 Si 1.64
O 0.9267 0.3155 0.5338  1 S 1.47
O 0.7382 0.3548 0.1370  1 S 1.47
O 0.5624 0.4783 0.8648  1 S 1.48
O 0.5877 0.4784 0.2536  1 Si 1.63
O 0.6798 0.4887 0.0758  1 S 1.49
O 0.0850 0.9611 0.1945  1 Si 1.66
O 0.2376 0.3053 0.7416  1 Si 1.59
O 0.9849 0.7955 0.0873  1 S 1.49
O 0.7596 0.8367 0.7550  1 Si 1.64
O 0.7480 0.1491 0.9258  1 Si 1.65
O 0.7521 0.8710 0.3592  1 Si 1.62
O 0.0647 0.6383 0.3589  1 Si 1.64
O 0.7487 0.3528 0.4255  1 Si 1.62
O 0.9163 0.0260 0.8053  1 Si 1.63
O 0.2302 0.1469 0.5326  1 S 1.48
O 0.4364 0.3624 0.9244  1 S 1.47
O 0.0815 0.1979 0.6931  1 Si 1.67
O 0.9874 0.1890 0.3014  1 S 1.46
O 0.0072 0.1833 0.9125  1 Si 1.62
O 0.2580 0.8786 0.3656  1 S 1.48
O 0.9413 0.3577 0.6380  1 S 1.46
O 0.3224 0.5135 0.9228  1 S 1.48
O 0.5130 0.1923 0.1938  1 Si 1.67
O 0.9860 0.7875 0.8016  1 S 1.47
O 0.3204 0.1280 0.4256  1 S 1.48
Si 0.1473 0.2955 0.7487  4 O 1.59-1.67
Si 0.1659 0.3726 0.4157  4 O 1.59-1.65
Si 0.0212 0.6658 0.4173  4 O 1.60-1.64
Si 0.4773 0.6235 0.0832  4 O 1.62-1.67
Si 0.5213 0.6671 0.4154  4 O 1.62-1.66
Si 0.1684 0.9609 0.9167  4 O 1.64-1.66
Si 0.8525 0.7066 0.2479  4 O 1.64-1.66
Si 0.6654 0.3764 0.4169  4 O 1.62-1.64
Si 0.8562 0.0041 0.7499  4 O 1.62-1.65
Si 0.0204 0.3763 0.9151  4 O 1.62-1.64
Si 0.6495 0.2959 0.7498  4 O 1.60-1.66
Si 0.3527 0.9964 0.7502  4 O 1.61-1.65
Si 0.4969 0.7037 0.7497  4 O 1.59-1.67
Si 0.1846 0.3353 0.0854  4 O 1.63-1.65
Si 0.8123 0.9550 0.4156  4 O 1.61-1.64
Si 0.6621 0.9580 0.9161  4 O 1.62-1.65
Si 0.4987 0.2929 0.2499  4 O 1.62-1.67
Si 0.1488 0.0019 0.2515  4 O 1.62-1.67
Na 0.9974 0.9984 0.4899  3 O 2.39-2.46
Na 0.1797 0.6676 0.6707  3 O 2.40-2.63
Na 0.8272 0.3241 0.8273  4 O 2.44-2.73
Na 0.6622 0.6630 0.1728  4 O 2.42-2.68
Na 0.6873 0.3790 0.2517  4 O 2.36-2.45
Na 0.9970 0.3541 0.7528  3 O 2.31-2.53
Na 0.8337 0.3347 0.3366  6 O 2.60-2.81
Na 0.3302 0.3334 0.8240  4 O 2.46-2.75
Na 0.1722 0.6665 0.1653  6 O 2.47-2.74
Na 0.5083 0.0020 0.4977  6 O 2.49-2.75
Na 0.6843 0.0091 0.7491  4 O 2.35-2.58
Na 0.1933 0.0180 0.7531  4 O 2.30-2.55
Na 0.9952 0.6496 0.2526  4 O 2.39-2.64
Na 0.4930 0.3577 0.7473  3 O 2.34-2.48
Na 0.5033 0.9858 0.9972  3 O 2.35-2.59
Na 0.6707 0.6633 0.6679  6 O 2.56-2.71
Na 0.0135 0.0202 0.9981  4 O 2.49-2.75
Na 0.3337 0.3309 0.3294  5 O 2.51-2.75
Hf 0.3338 0.3373 0.1869  6 O 2.00-2.18
Hf 0.6607 0.6735 0.0207  3 O 1.91-2.10
Hf 0.1699 0.6692 0.8158  5 O 1.98-2.10
Hf 0.8316 0.3308 0.4743  3 O 1.94-1.98
Hf 0.1609 0.6570 0.0180  3 O 1.92-2.05
Hf 0.9973 0.0049 0.6484  3 O 1.92-2.14
Hf 0.5001 0.0016 0.6525  3 O 1.93-1.96
Hf 0.0067 0.0179 0.8554  4 O 1.95-2.03
Hf 0.6661 0.6696 0.5137  3 O 1.93-1.95
Hf 0.3346 0.3435 0.4774  3 O 1.93-2.09
Hf 0.8328 0.3246 0.9758  4 O 1.94-2.12
Hf 0.5003 0.0019 0.1461  6 O 1.95-2.17
Hf 0.0003 0.9877 0.3562  5 O 2.00-2.08
Hf 0.5034 0.9990 0.8487  4 O 1.94-2.08
Hf 0.1623 0.6564 0.5177  2 O 1.91-1.92
Hf 0.6705 0.6790 0.8103  5 O 1.99-2.21
Hf 0.1634 0.6614 0.3158  5 O 1.95-2.18
Hf 0.0044 0.9963 0.1499  4 O 1.93-2.15
Hf 0.3258 0.3320 0.9830  3 O 1.92-2.02
Hf 0.5031 0.0100 0.3560  5 O 1.96-2.19
Hf 0.6674 0.6632 0.3161  5 O 1.99-2.13
Mg 0.8281 0.3296 0.6868  5 O 1.98-2.20
Mg 0.3333 0.3382 0.6906  4 O 1.98-2.17
Mg 0.8342 0.3371 0.1854  6 O 2.00-2.19

---

Entry 2:
This record from the Materials Project describes CsNdSe2O12 after structural relaxation. The functional is PBE.

Unit cell a=18.2704 b=6.6056 c=10.1526 alpha=89.92 beta=90.00 gamma=90.00
With the nearest neighbours (Å) after each atom.
Element x y z (fractional)
O 0.4943 0.7296 0.3321  1 O 2.19
O 0.9773 0.9452 0.1998  1 Se 1.68
O 0.3621 0.1956 0.5082  2 O 2.29-2.34, 1 Nd 2.40
O 0.3057 0.3760 0.9141  1 Se 1.68
O 0.1248 0.0068 0.2024  1 Se 1.70
O 0.4734 0.2729 0.9292  1 O 1.24
O 0.5391 0.2310 0.9214  1 O 1.24
O 0.9943 0.2704 0.1679  1 O 2.19
O 0.3639 0.4300 0.1658  1 Se 1.64
O 0.4299 0.6663 0.5728  1 Se 1.68
O 0.9242 0.3237 0.6708  1 Se 1.68
O 0.4773 0.0548 0.3002  1 Se 1.68
O 0.9609 0.2310 0.4214  1 O 1.24
O 0.7439 0.8161 0.3719  1 Se 1.72
O 0.7259 0.4238 0.3951  1 Se 1.70
O 0.6943 0.6240 0.0859  1 Se 1.68
O 0.6379 0.8044 0.4918  2 O 2.29-2.34, 1 Nd 2.40
O 0.1361 0.4300 0.6658  1 Se 1.64
O 0.8621 0.8044 0.9918  2 O 2.29-2.34, 1 Nd 2.40
O 0.7561 0.8161 0.8719  1 Se 1.72
O 0.2741 0.5762 0.6049  1 Se 1.70
O 0.0758 0.6763 0.3292  1 Se 1.68
O 0.0391 0.7690 0.5786  1 O 1.24
O 0.2561 0.1839 0.6281  1 Se 1.72
O 0.5266 0.7271 0.0708  1 O 1.24
O 0.3752 0.0068 0.7024  1 Se 1.70
O 0.2259 0.5762 0.1049  1 Se 1.70
O 0.9734 0.7271 0.5708  1 O 1.24
O 0.0701 0.6663 0.0728  1 Se 1.68
O 0.5057 0.2704 0.6679  1 O 2.19
O 0.4242 0.6763 0.8292  1 Se 1.68
O 0.5758 0.3237 0.1708  1 Se 1.68
O 0.1943 0.3760 0.4141  1 Se 1.68
O 0.0227 0.0548 0.8002  1 Se 1.68
O 0.1379 0.1956 0.0082  2 O 2.29-2.34, 1 Nd 2.40
O 0.5227 0.9452 0.6998  1 Se 1.68
O 0.9299 0.3337 0.9272  1 Se 1.68
O 0.8057 0.6240 0.5859  1 Se 1.68
O 0.8639 0.5700 0.3342  1 Se 1.64
O 0.2439 0.1839 0.1281  1 Se 1.72
O 0.8752 0.9932 0.7976  1 Se 1.70
O 0.4609 0.7690 0.0786  1 O 1.24
O 0.0266 0.2729 0.4292  1 O 1.24
O 0.0057 0.7296 0.8321  1 O 2.19
O 0.6248 0.9932 0.2976  1 Se 1.70
O 0.7741 0.4238 0.8951  1 Se 1.70
O 0.5701 0.3337 0.4272  1 Se 1.68
O 0.6361 0.5700 0.8342  1 Se 1.64
Cs 0.1833 0.8368 0.8401  7 O 3.04-3.38
Cs 0.3167 0.8368 0.3401  7 O 3.04-3.38
Cs 0.6833 0.1632 0.6599  7 O 3.04-3.38
Cs 0.8167 0.1632 0.1599  7 O 3.04-3.38
Se 0.5586 0.1735 0.3005  4 O 1.68-1.70
Se 0.2903 0.3955 0.0765  4 O 1.64-1.72
Se 0.9414 0.1735 0.8005  4 O 1.68-1.70
Se 0.0586 0.8265 0.1995  4 O 1.68-1.70
Se 0.7903 0.6045 0.4235  4 O 1.64-1.72
Se 0.7097 0.6045 0.9235  4 O 1.64-1.72
Se 0.4414 0.8265 0.6995  4 O 1.68-1.70
Se 0.2097 0.3955 0.5765  4 O 1.64-1.72
Nd 0.3726 0.3753 0.7132  8 O 2.38-2.62
Nd 0.6274 0.6247 0.2868  8 O 2.38-2.62
Nd 0.1274 0.3753 0.2132  8 O 2.38-2.62
Nd 0.8726 0.6247 0.7868  8 O 2.38-2.62

---

Entry 3:
This record from the Materials Project describes GaH15N5Cl3 after structural relaxation. The functional is PBE.

Unit cell a=6.9166 b=10.7964 c=13.8010 alpha=90.00 beta=90.00 gamma=90.00
With the nearest neighbours (Å) after each atom.
Element x y z (fractional)
H 0.5970 0.8272 0.9635  1 N 1.03
H 0.6672 0.7500 0.2873  1 N 1.02
H 0.7824 0.5214 0.0356  1 N 1.03
H 0.5028 0.7500 0.7735  1 N 1.02
H 0.9596 0.9765 0.1161  1 N 1.03
H 0.7176 0.5214 0.5356  1 N 1.03
H 0.4972 0.2500 0.2265  1 N 1.02
H 0.7824 0.9786 0.0356  1 N 1.03
H 0.9738 0.6727 0.7125  1 N 1.03
H 0.3673 0.6725 0.6946  1 N 1.03
H 0.0970 0.1728 0.5365  1 N 1.03
H 0.1327 0.6725 0.1946  1 N 1.03
H 0.5404 0.9765 0.6161  1 N 1.03
H 0.4030 0.1728 0.0365  1 N 1.03
H 0.5473 0.2500 0.9619  1 N 1.03
H 0.7686 0.9813 0.6529  1 N 1.03
H 0.6327 0.1725 0.3054  1 N 1.03
H 0.7686 0.5187 0.6529  1 N 1.03
H 0.0970 0.3272 0.5365  1 N 1.03
H 0.2176 0.4786 0.9644  1 N 1.03
H 0.5262 0.8273 0.2125  1 N 1.03
H 0.2314 0.0187 0.3471  1 N 1.03
H 0.0404 0.4765 0.8839  1 N 1.03
H 0.9596 0.5235 0.1161  1 N 1.03
H 0.9030 0.8272 0.4635  1 N 1.03
H 0.0262 0.3273 0.2875  1 N 1.03
H 0.2686 0.0187 0.8471  1 N 1.03
H 0.5262 0.6727 0.2125  1 N 1.03
H 0.0262 0.1727 0.2875  1 N 1.03
H 0.9527 0.2500 0.4619  1 N 1.03
H 0.6327 0.3275 0.3054  1 N 1.03
H 0.8673 0.3275 0.8054  1 N 1.03
H 0.0028 0.2500 0.7265  1 N 1.02
H 0.1327 0.8275 0.1946  1 N 1.03
H 0.2824 0.0214 0.4644  1 N 1.03
H 0.2824 0.4786 0.4644  1 N 1.03
H 0.2176 0.0214 0.9644  1 N 1.03
H 0.2314 0.4813 0.3471  1 N 1.03
H 0.9738 0.8273 0.7125  1 N 1.03
H 0.4527 0.7500 0.0381  1 N 1.03
H 0.2686 0.4813 0.8471  1 N 1.03
H 0.4596 0.4765 0.3839  1 N 1.03
H 0.3673 0.8275 0.6946  1 N 1.03
H 0.1672 0.2500 0.2127  1 N 1.02
H 0.5404 0.5235 0.6161  1 N 1.03
H 0.0404 0.0235 0.8839  1 N 1.03
H 0.7176 0.9786 0.5356  1 N 1.03
H 0.4738 0.1727 0.7875  1 N 1.03
H 0.8328 0.7500 0.7873  1 N 1.02
H 0.4030 0.3272 0.0365  1 N 1.03
H 0.7314 0.9813 0.1529  1 N 1.03
H 0.7314 0.5187 0.1529  1 N 1.03
H 0.5970 0.6728 0.9635  1 N 1.03
H 0.4738 0.3273 0.7875  1 N 1.03
H 0.9972 0.7500 0.2735  1 N 1.02
H 0.4596 0.0235 0.3839  1 N 1.03
H 0.3328 0.2500 0.7127  1 N 1.02
H 0.0473 0.7500 0.5381  1 N 1.03
H 0.9030 0.6728 0.4635  1 N 1.03
H 0.8673 0.1725 0.8054  1 N 1.03
N 0.5472 0.2500 0.2961  3 H 1.02-1.03
N 0.3232 0.4439 0.3979  3 H 1.03
N 0.4528 0.7500 0.7039  3 H 1.02-1.03
N 0.0472 0.7500 0.2039  3 H 1.02-1.03
N 0.9123 0.7500 0.5072  3 H 1.03
N 0.3232 0.0561 0.3979  3 H 1.03
N 0.6768 0.9439 0.6021  3 H 1.03
N 0.1768 0.0561 0.8979  3 H 1.03
N 0.5877 0.7500 0.0072  3 H 1.03
N 0.8232 0.5561 0.1021  3 H 1.03
N 0.1768 0.4439 0.8979  3 H 1.03
N 0.1133 0.2500 0.2818  3 H 1.02-1.03
N 0.3867 0.2500 0.7818  3 H 1.02-1.03
N 0.9528 0.2500 0.7961  3 H 1.02-1.03
N 0.8867 0.7500 0.7182  3 H 1.02-1.03
N 0.8232 0.9439 0.1021  3 H 1.03
N 0.6768 0.5561 0.6021  3 H 1.03
N 0.0877 0.2500 0.4928  3 H 1.03
N 0.6133 0.7500 0.2182  3 H 1.02-1.03
N 0.4123 0.2500 0.9928  3 H 1.03
Cl 0.1649 0.4987 0.6475  5 H 2.43-2.66
Cl 0.3351 0.4987 0.1475  5 H 2.43-2.66
Cl 0.4517 0.7500 0.4734  1 Ga 2.39
Cl 0.1649 0.0013 0.6475  5 H 2.43-2.66
Cl 0.8351 0.9987 0.3525  5 H 2.43-2.66
Cl 0.5483 0.2500 0.5266  1 Ga 2.39
Cl 0.6649 0.9987 0.8525  5 H 2.43-2.66
Cl 0.3351 0.0013 0.1475  5 H 2.43-2.66
Cl 0.9517 0.2500 0.0266  1 Ga 2.39
Cl 0.0483 0.7500 0.9734  1 Ga 2.39
Cl 0.6649 0.5013 0.8525  5 H 2.43-2.66
Cl 0.8351 0.5013 0.3525  5 H 2.43-2.66
Ga 0.6799 0.7500 0.6037  5 N 2.09-2.13
Ga 0.8201 0.7500 0.1037  5 N 2.09-2.13
Ga 0.1799 0.2500 0.8963  5 N 2.09-2.13
Ga 0.3201 0.2500 0.3963  5 N 2.09-2.13

---

| no. | calculated formation energy (kJ/mol of formula units) |
| --- | --- |
| 1 | -20759 |
| 2 | -1418 |
| 3 | -1490 |